Density functional theory data (meta-GGA r2SCAN) for a relaxed SiO2 crystal.

Geometry as POSCAR:
```
SiO2
1.0
2.503 -4.532 0.000
2.503 4.532 0.000
0.000 0.000 8.187
Si O
4 8
Direct
0.075 0.740 0.563
0.260 0.925 0.937
0.740 0.075 0.437
0.925 0.260 0.063
0.111 0.111 0.000
0.140 0.625 0.048
0.170 0.830 0.750
0.375 0.860 0.452
0.625 0.140 0.952
0.830 0.170 0.250
0.860 0.375 0.548
0.889 0.889 0.500
```

Calculated values
Calculated density ... 2.149 g cm⁻³
E_tot ... -29.80 eV per formula unit
Space group ... C222_1, No. 20



Density functional theory data (meta-GGA r2SCAN) for a relaxed NaCrSe2 crystal.

Geometry as POSCAR:
```
NaCrSe2
1.0
1.879 1.085 6.766
-1.879 1.085 6.766
0.000 -2.170 6.766
Na Cr Se
1 1 2
Direct
0.000 0.000 0.000
0.500 0.500 0.500
0.234 0.234 0.234
0.766 0.766 0.766
```

Calculated values
Calculated density ... 4.674 g cm⁻³
E_tot ... -51.67 eV per formula unit
Space group ... R-3m, No. 166



Density functional theory data (meta-GGA r2SCAN) for a relaxed HoCu2 crystal.

Geometry as POSCAR:
```
HoCu2
1.0
-2.128 3.354 3.613
2.128 -3.354 3.613
2.128 3.354 -3.613
Ho Cu
2 4
Direct
0.294 0.044 0.250
0.706 0.956 0.750
0.113 0.664 0.449
0.285 0.336 0.949
0.715 0.664 0.051
0.887 0.336 0.551
```

Calculated values
Calculated density ... 9.402 g cm⁻³
E_tot ... -55.41 eV per formula unit
Space group ... Imma, No. 74



Density functional theory data (meta-GGA r2SCAN) for a relaxed Hf2ReIr crystal.

Geometry as POSCAR:
```
Hf2ReIr
1.0
0.000 3.253 3.253
3.253 0.000 3.253
3.253 3.253 0.000
Hf Re Ir
2 1 1
Direct
0.250 0.250 0.250
0.750 0.750 0.750
0.000 0.000 0.000
0.500 0.500 0.500
```

Calculated values
Calculated density ... 17.733 g cm⁻³
E_tot ... -198.54 eV per formula unit
Space group ... Fm-3m, No. 225



Density functional theory data (meta-GGA r2SCAN) for a relaxed PrSBr crystal.

Geometry as POSCAR:
```
PrSBr
1.0
6.986 0.000 0.000
0.000 13.876 0.000
0.000 0.000 7.149
Pr S Br
8 8 8
Direct
0.242 0.093 0.033
0.242 0.407 0.533
0.258 0.593 0.033
0.258 0.907 0.533
0.742 0.093 0.467
0.742 0.407 0.967
0.758 0.593 0.467
0.758 0.907 0.967
0.001 0.024 0.741
0.001 0.476 0.241
0.499 0.524 0.741
0.499 0.976 0.241
0.501 0.024 0.759
0.501 0.476 0.259
0.999 0.524 0.759
0.999 0.976 0.259
0.158 0.707 0.391
0.158 0.793 0.891
0.342 0.207 0.391
0.342 0.293 0.891
0.658 0.707 0.109
0.658 0.793 0.609
0.842 0.207 0.109
0.842 0.293 0.609
```

Calculated values
Calculated density ... 4.847 g cm⁻³
E_tot ... -57.62 eV per formula unit
Space group ... Pbca, No. 61



Density functional theory data (meta-GGA r2SCAN) for a relaxed SrAl2Te4 crystal.

Geometry as POSCAR:
```
SrAl2Te4
1.0
-4.203 4.203 3.359
4.203 -4.203 3.359
4.203 4.203 -3.359
Sr Al Te
1 2 4
Direct
0.000 0.000 0.000
0.000 0.500 0.500
0.500 0.000 0.500
0.079 0.921 0.500
0.421 0.579 0.500
0.579 0.079 0.159
0.921 0.421 0.841
```

Calculated values
Calculated density ... 4.561 g cm⁻³
E_tot ... -137.26 eV per formula unit
Space group ... I422, No. 97



Density functional theory data (meta-GGA r2SCAN) for a relaxed La3GaBr3 crystal.

Geometry as POSCAR:
```
La3GaBr3
1.0
6.137 0.000 0.000
0.000 6.137 0.000
0.000 0.000 6.137
La Ga Br
3 1 3
Direct
0.000 0.000 0.500
0.000 0.500 0.000
0.500 0.000 0.000
0.000 0.000 0.000
0.000 0.500 0.500
0.500 0.000 0.500
0.500 0.500 0.000
```

Calculated values
Calculated density ... 5.218 g cm⁻³
E_tot ... -151.90 eV per formula unit
Space group ... Pm-3m, No. 221



Density functional theory data (meta-GGA r2SCAN) for a relaxed RbB6H6 crystal.

Geometry as POSCAR:
```
RbB6H6
1.0
0.000 5.440 5.440
5.440 0.000 5.440
5.440 5.440 0.000
Rb B H
2 12 12
Direct
0.250 0.250 0.250
0.750 0.750 0.750
0.051 0.214 0.949
0.051 0.786 0.214
0.051 0.949 0.786
0.214 0.051 0.786
0.214 0.786 0.949
0.214 0.949 0.051
0.786 0.051 0.949
0.786 0.214 0.051
0.786 0.949 0.214
0.949 0.051 0.214
0.949 0.214 0.786
0.949 0.786 0.051
0.088 0.365 0.912
0.088 0.635 0.365
0.088 0.912 0.635
0.365 0.088 0.635
0.365 0.635 0.912
0.365 0.912 0.088
0.635 0.088 0.912
0.635 0.365 0.088
0.635 0.912 0.365
0.912 0.088 0.365
0.912 0.365 0.635
0.912 0.635 0.088
```

Calculated values
Calculated density ... 1.613 g cm⁻³
E_tot ... -84.15 eV per formula unit
Space group ... Fm-3, No. 202



Density functional theory data (meta-GGA r2SCAN) for a relaxed SrWN3 crystal.

Geometry as POSCAR:
```
SrWN3
1.0
3.674 0.000 0.000
-0.113 6.353 0.000
-0.746 -2.291 6.196
Sr W N
2 2 6
Direct
0.000 0.000 0.000
0.064 0.531 0.470
0.476 0.508 0.982
0.553 0.031 0.476
0.069 0.100 0.423
0.515 0.333 0.144
0.522 0.806 0.166
0.568 0.860 0.641
0.647 0.370 0.683
0.950 0.486 0.847
```

Calculated values
Calculated density ... 7.197 g cm⁻³
E_tot ... -98.03 eV per formula unit
Space group ... P1, No. 1



Density functional theory data (meta-GGA r2SCAN) for a relaxed Zr11Os4 crystal.

Geometry as POSCAR:
```
Zr11Os4
1.0
0.000 6.740 6.740
6.740 0.000 6.740
6.740 6.740 0.000
Zr Os
22 8
Direct
0.150 0.617 0.617
0.163 0.163 0.163
0.163 0.163 0.511
0.163 0.511 0.163
0.200 0.200 0.800
0.200 0.800 0.200
0.200 0.800 0.800
0.383 0.383 0.383
0.383 0.383 0.850
0.383 0.850 0.383
0.489 0.837 0.837
0.511 0.163 0.163
0.617 0.150 0.617
0.617 0.617 0.150
0.617 0.617 0.617
0.800 0.200 0.200
0.800 0.200 0.800
0.800 0.800 0.200
0.837 0.489 0.837
0.837 0.837 0.489
0.837 0.837 0.837
0.850 0.383 0.383
0.000 0.000 0.000
0.000 0.000 0.500
0.000 0.500 0.000
0.000 0.500 0.500
0.500 0.000 0.000
0.500 0.000 0.500
0.500 0.500 0.000
0.500 0.500 0.500
```

Calculated values
Calculated density ... 9.570 g cm⁻³
E_tot ... -467.59 eV per formula unit
Space group ... Fm-3m, No. 225